! Na8CaSi4Ge3P2O24 PBE relaxed; values from VASP
! symmetry	No. 1
! energy with MP2020 corrections	-6.825	eV/atom
&SYSTEM
  ibrav = 0, nat = 126, ntyp = 6
/
ATOMIC_SPECIES
Na 22.99 Na.upf
Ca 40.08 Ca.upf
Si 28.09 Si.upf
Ge 72.64 Ge.upf
P 30.97 P.upf
O 16.00 O.upf
CELL_PARAMETERS angstrom
8.948 0.000 0.000
4.434 7.786 0.000
0.059 0.093 21.825
ATOMIC_POSITIONS crystal
Na 0.000 0.000 0.000
Na 0.001 0.257 0.505
Na 0.025 0.942 0.675
Na 0.027 0.319 0.171
Na 0.271 0.681 0.175
Na 0.286 0.310 0.674
Na 0.322 0.977 0.087
Na 0.323 0.336 0.341
Na 0.327 0.976 0.590
Na 0.331 0.616 0.839
Na 0.348 0.275 0.000
Na 0.369 0.650 0.503
Na 0.602 0.017 0.509
Na 0.622 0.653 0.999
Na 0.654 0.682 0.673
Na 0.656 0.310 0.917
Na 0.657 0.316 0.425
Na 0.667 0.929 0.173
Na 0.675 0.985 0.839
Na 0.676 0.620 0.348
Na 0.960 0.330 0.839
Na 0.962 0.981 0.344
Na 0.988 0.644 0.756
Na 0.992 0.644 0.258
Ca 0.321 0.977 0.442
Ca 0.322 0.976 0.931
Ca 0.991 0.643 0.113
Si 0.015 0.280 0.340
Si 0.017 0.982 0.839
Si 0.281 0.364 0.513
Si 0.325 0.677 0.340
Si 0.326 0.277 0.838
Si 0.365 0.604 0.673
Si 0.380 0.292 0.177
Si 0.623 0.672 0.838
Si 0.653 0.024 0.672
Si 0.715 0.632 0.511
Si 0.945 0.035 0.177
Si 0.945 0.306 0.672
Ge 0.004 0.627 0.406
Ge 0.307 0.990 0.240
Ge 0.322 0.977 0.738
Ge 0.649 0.321 0.573
Ge 0.653 0.313 0.276
Ge 0.655 0.310 0.771
Ge 0.658 0.302 0.073
Ge 0.988 0.641 0.614
Ge 0.989 0.642 0.899
P 0.296 0.631 0.009
P 0.621 0.978 0.338
P 0.638 0.600 0.175
P 0.697 0.947 0.008
P 0.976 0.352 0.009
P 0.977 0.925 0.509
O 0.000 0.818 0.568
O 0.008 0.470 0.345
O 0.008 0.799 0.846
O 0.067 0.035 0.902
O 0.073 0.166 0.401
O 0.132 0.171 0.004
O 0.137 0.945 0.509
O 0.138 0.134 0.679
O 0.139 0.020 0.179
O 0.140 0.671 0.346
O 0.146 0.468 0.845
O 0.156 0.187 0.283
O 0.161 0.461 0.572
O 0.161 0.936 0.783
O 0.168 0.631 0.669
O 0.188 0.454 0.179
O 0.200 0.475 0.448
O 0.200 0.608 0.951
O 0.201 0.651 0.068
O 0.280 0.179 0.782
O 0.283 0.818 0.282
O 0.300 0.177 0.512
O 0.320 0.787 0.004
O 0.348 0.797 0.680
O 0.372 0.110 0.181
O 0.380 0.175 0.902
O 0.385 0.729 0.401
O 0.453 0.474 0.730
O 0.471 0.779 0.177
O 0.474 0.321 0.235
O 0.474 0.352 0.514
O 0.476 0.456 0.010
O 0.479 0.005 0.679
O 0.486 0.479 0.329
O 0.492 0.304 0.826
O 0.493 0.524 0.612
O 0.497 0.263 0.113
O 0.515 0.973 0.004
O 0.516 0.021 0.397
O 0.518 0.722 0.901
O 0.525 0.796 0.511
O 0.525 0.817 0.782
O 0.528 0.944 0.283
O 0.612 0.152 0.611
O 0.616 0.513 0.115
O 0.649 0.137 0.330
O 0.650 0.480 0.825
O 0.661 0.491 0.232
O 0.691 0.111 0.730
O 0.693 0.127 0.009
O 0.707 0.448 0.513
O 0.772 0.852 0.068
O 0.796 0.623 0.175
O 0.800 0.348 0.009
O 0.801 0.813 0.341
O 0.803 0.662 0.572
O 0.810 0.103 0.510
O 0.813 0.851 0.950
O 0.814 0.661 0.845
O 0.817 0.316 0.329
O 0.818 0.346 0.730
O 0.825 0.146 0.826
O 0.826 0.135 0.235
O 0.827 0.829 0.669
O 0.832 0.607 0.448
O 0.860 0.263 0.612
O 0.861 0.151 0.113
O 0.955 0.469 0.950
O 0.959 0.837 0.449
O 0.968 0.845 0.180
O 0.969 0.480 0.670
O 0.996 0.427 0.068

***

! RbLi2H6N3 PBE relaxed; values from VASP
! symmetry	No. 63
! energy with MP2020 corrections	-4.716	eV/atom
&SYSTEM
  ibrav = 0, nat = 24, ntyp = 4
/
ATOMIC_SPECIES
Rb 85.47 Rb.upf
Li 6.94 Li.upf
H 1.01 H.upf
N 14.01 N.upf
CELL_PARAMETERS angstrom
4.432 -5.617 0.000
4.432 5.617 0.000
0.000 0.000 5.397
ATOMIC_POSITIONS crystal
Rb 0.210 0.790 0.750
Rb 0.790 0.210 0.250
Li 0.358 0.358 0.000
Li 0.358 0.358 0.500
Li 0.642 0.642 0.000
Li 0.642 0.642 0.500
H 0.031 0.406 0.750
H 0.057 0.190 0.750
H 0.190 0.057 0.250
H 0.256 0.565 0.250
H 0.406 0.031 0.250
H 0.435 0.744 0.250
H 0.565 0.256 0.750
H 0.594 0.969 0.750
H 0.744 0.435 0.750
H 0.810 0.943 0.750
H 0.943 0.810 0.250
H 0.969 0.594 0.250
N 0.136 0.329 0.750
N 0.329 0.136 0.250
N 0.404 0.596 0.250
N 0.596 0.404 0.750
N 0.671 0.864 0.750
N 0.864 0.671 0.250

***

! GaPPt5 PBE relaxed; values from VASP
! E_tot	-41.92	eV for the cell shown
! symmetry	No. 123
&SYSTEM
  ibrav = 0, nat = 7, ntyp = 3
/
ATOMIC_SPECIES
Ga 69.72 Ga.upf
P 30.97 P.upf
Pt 195.08 Pt.upf
CELL_PARAMETERS angstrom
3.953 0.000 0.000
0.000 3.953 0.000
0.000 0.000 6.939
ATOMIC_POSITIONS crystal
Ga 0.000 0.000 0.000
P 0.500 0.500 0.500
Pt 0.000 0.500 0.291
Pt 0.000 0.500 0.709
Pt 0.500 0.000 0.291
Pt 0.500 0.000 0.709
Pt 0.500 0.500 0.000

***

! LaMgS3 PBE relaxed; values from VASP
! excess energy over the best structure of this formula in the dataset	0.33	eV per formula unit
! energy with MP2020 corrections	-5.432	eV/atom
&SYSTEM
  ibrav = 0, nat = 30, ntyp = 3
/
ATOMIC_SPECIES
La 138.91 La.upf
Mg 24.30 Mg.upf
S 32.06 S.upf
CELL_PARAMETERS angstrom
6.997 0.000 0.000
-3.498 6.059 0.000
0.000 0.000 17.618
ATOMIC_POSITIONS crystal
La 0.667 0.333 0.974
Mg 0.333 0.667 0.822
La 0.667 0.333 0.693
La 0.000 0.000 0.360
S 0.296 0.948 0.914
S 0.014 0.629 0.420
S 0.615 0.986 0.420
S 0.962 0.282 0.247
Mg 0.000 0.000 0.844
Mg 0.000 0.000 0.156
S 0.282 0.319 0.753
S 0.347 0.296 0.086
S 0.319 0.038 0.247
S 0.681 0.962 0.753
S 0.653 0.704 0.914
La 0.000 0.000 0.640
S 0.704 0.052 0.086
S 0.629 0.615 0.580
S 0.052 0.347 0.914
S 0.038 0.718 0.753
La 0.333 0.667 0.026
S 0.718 0.681 0.247
La 0.333 0.667 0.307
S 0.986 0.371 0.580
Mg 0.667 0.333 0.489
S 0.371 0.385 0.420
S 0.385 0.014 0.580
S 0.948 0.653 0.086
Mg 0.333 0.667 0.511
Mg 0.667 0.333 0.178

***

! Ti5Mn7 PBE relaxed; values from VASP
! E_tot	-106.50	eV for the cell shown
! symmetry	No. 164
&SYSTEM
  ibrav = 0, nat = 12, ntyp = 2
/
ATOMIC_SPECIES
Ti 47.87 Ti.upf
Mn 54.94 Mn.upf
CELL_PARAMETERS angstrom
4.804 0.000 0.000
-2.402 4.161 0.000
0.000 0.000 7.909
ATOMIC_POSITIONS crystal
Ti 0.000 0.000 0.000
Ti 0.333 0.667 0.560
Ti 0.333 0.667 0.929
Ti 0.667 0.333 0.071
Ti 0.667 0.333 0.440
Mn 0.000 0.000 0.500
Mn 0.173 0.347 0.257
Mn 0.173 0.827 0.257
Mn 0.347 0.173 0.743
Mn 0.653 0.827 0.257
Mn 0.827 0.173 0.743
Mn 0.827 0.653 0.743

***

! In9Ag17 PBE relaxed; values from VASP
! E_tot	-147.19	eV for the cell shown
! symmetry	No. 8
&SYSTEM
  ibrav = 0, nat = 52, ntyp = 2
/
ATOMIC_SPECIES
In 114.82 In.upf
Ag 107.87 Ag.upf
CELL_PARAMETERS angstrom
7.131 -7.139 0.000
7.131 7.139 0.000
-0.062 0.000 10.160
ATOMIC_POSITIONS crystal
In 0.000 0.000 0.000
In 0.045 0.688 0.037
In 0.070 0.070 0.419
In 0.071 0.305 0.653
In 0.304 0.304 0.420
In 0.305 0.071 0.653
In 0.374 0.997 0.073
In 0.378 0.378 0.001
In 0.378 0.652 0.726
In 0.378 0.723 0.347
In 0.651 0.996 0.350
In 0.652 0.378 0.726
In 0.688 0.045 0.037
In 0.723 0.378 0.347
In 0.724 0.996 0.723
In 0.996 0.651 0.350
In 0.996 0.724 0.723
In 0.997 0.374 0.073
Ag 0.017 0.017 0.707
Ag 0.017 0.358 0.366
Ag 0.155 0.873 0.223
Ag 0.156 0.502 0.850
Ag 0.188 0.188 0.180
Ag 0.188 0.188 0.893
Ag 0.188 0.545 0.536
Ag 0.188 0.830 0.536
Ag 0.221 0.502 0.222
Ag 0.221 0.873 0.850
Ag 0.331 0.688 0.037
Ag 0.358 0.017 0.366
Ag 0.359 0.359 0.707
Ag 0.502 0.156 0.850
Ag 0.502 0.221 0.222
Ag 0.502 0.872 0.569
Ag 0.503 0.503 0.504
Ag 0.513 0.513 0.210
Ag 0.513 0.861 0.862
Ag 0.545 0.188 0.536
Ag 0.583 0.583 0.932
Ag 0.583 0.791 0.141
Ag 0.688 0.331 0.037
Ag 0.688 0.688 0.393
Ag 0.688 0.688 0.680
Ag 0.791 0.583 0.141
Ag 0.791 0.791 0.932
Ag 0.830 0.188 0.536
Ag 0.861 0.513 0.862
Ag 0.862 0.862 0.212
Ag 0.872 0.502 0.569
Ag 0.873 0.155 0.223
Ag 0.873 0.221 0.850
Ag 0.873 0.873 0.503

***

! SmAsO4 PBE relaxed; values from VASP
! excess energy over the best structure of this formula in the dataset	0.00	eV per formula unit
! symmetry	No. 141
! energy with MP2020 corrections	-7.682	eV/atom
&SYSTEM
  ibrav = 0, nat = 12, ntyp = 3
/
ATOMIC_SPECIES
Sm 150.36 Sm.upf
As 74.92 As.upf
O 16.00 O.upf
CELL_PARAMETERS angstrom
-3.647 3.647 3.230
3.647 -3.647 3.230
3.647 3.647 -3.230
ATOMIC_POSITIONS crystal
Sm 0.375 0.625 0.750
Sm 0.625 0.375 0.250
As 0.125 0.875 0.250
As 0.875 0.125 0.750
O 0.131 0.702 0.429
O 0.228 0.298 0.929
O 0.298 0.228 0.429
O 0.298 0.869 0.071
O 0.702 0.131 0.929
O 0.702 0.772 0.571
O 0.772 0.702 0.071
O 0.869 0.298 0.571

***

! Na4P2H20O17 PBE relaxed; values from VASP
! symmetry	No. 15
! energy with MP2020 corrections	-5.228	eV/atom
&SYSTEM
  ibrav = 0, nat = 86, ntyp = 4
/
ATOMIC_SPECIES
Na 22.99 Na.upf
P 30.97 P.upf
H 1.01 H.upf
O 16.00 O.upf
CELL_PARAMETERS angstrom
9.707 -3.058 0.000
9.707 3.058 0.000
-9.527 0.000 16.407
ATOMIC_POSITIONS crystal
Na 0.024 0.149 0.120
Na 0.149 0.024 0.620
Na 0.166 0.325 0.597
Na 0.325 0.166 0.097
Na 0.675 0.834 0.903
Na 0.834 0.675 0.403
Na 0.851 0.976 0.380
Na 0.976 0.851 0.880
P 0.025 0.266 0.882
P 0.266 0.025 0.382
P 0.734 0.975 0.618
P 0.975 0.734 0.118
H 0.058 0.849 0.659
H 0.059 0.760 0.498
H 0.094 0.279 0.789
H 0.151 0.942 0.841
H 0.203 0.531 0.926
H 0.230 0.301 0.977
H 0.240 0.941 0.002
H 0.279 0.094 0.289
H 0.280 0.289 0.801
H 0.289 0.280 0.301
H 0.293 0.456 0.281
H 0.301 0.230 0.477
H 0.338 0.456 0.327
H 0.360 0.603 0.277
H 0.368 0.466 0.454
H 0.397 0.640 0.223
H 0.456 0.293 0.781
H 0.456 0.338 0.827
H 0.466 0.368 0.954
H 0.469 0.797 0.574
H 0.531 0.203 0.426
H 0.534 0.632 0.046
H 0.544 0.662 0.173
H 0.544 0.707 0.219
H 0.603 0.360 0.777
H 0.632 0.534 0.546
H 0.640 0.397 0.723
H 0.662 0.544 0.673
H 0.699 0.770 0.523
H 0.707 0.544 0.719
H 0.711 0.720 0.699
H 0.720 0.711 0.199
H 0.721 0.906 0.711
H 0.760 0.059 0.998
H 0.770 0.699 0.023
H 0.797 0.469 0.074
H 0.849 0.058 0.159
H 0.906 0.721 0.211
H 0.941 0.240 0.502
H 0.942 0.151 0.341
O 0.018 0.414 0.157
O 0.044 0.088 0.877
O 0.046 0.214 0.794
O 0.073 0.686 0.441
O 0.088 0.044 0.377
O 0.120 0.373 0.781
O 0.169 0.264 0.439
O 0.180 0.495 0.081
O 0.214 0.046 0.294
O 0.264 0.169 0.939
O 0.308 0.537 0.948
O 0.314 0.927 0.059
O 0.373 0.120 0.281
O 0.414 0.018 0.657
O 0.463 0.692 0.552
O 0.477 0.523 0.250
O 0.495 0.180 0.581
O 0.505 0.820 0.419
O 0.523 0.477 0.750
O 0.537 0.308 0.448
O 0.586 0.982 0.343
O 0.627 0.880 0.719
O 0.686 0.073 0.941
O 0.692 0.463 0.052
O 0.736 0.831 0.061
O 0.786 0.954 0.706
O 0.820 0.505 0.919
O 0.831 0.736 0.561
O 0.880 0.627 0.219
O 0.912 0.956 0.623
O 0.927 0.314 0.559
O 0.954 0.786 0.206
O 0.956 0.912 0.123
O 0.982 0.586 0.843

***

! V3Zn2N PBE relaxed; values from VASP
! symmetry	No. 213
! energy with MP2020 corrections	-6.960	eV/atom
&SYSTEM
  ibrav = 0, nat = 24, ntyp = 3
/
ATOMIC_SPECIES
V 50.94 V.upf
Zn 65.41 Zn.upf
N 14.01 N.upf
CELL_PARAMETERS angstrom
6.578 0.000 0.000
0.000 6.578 0.000
0.000 0.000 6.578
ATOMIC_POSITIONS crystal
V 0.037 0.125 0.787
V 0.125 0.787 0.037
V 0.213 0.537 0.375
V 0.287 0.463 0.875
V 0.375 0.213 0.537
V 0.463 0.875 0.287
V 0.537 0.375 0.213
V 0.625 0.713 0.963
V 0.713 0.963 0.625
V 0.787 0.037 0.125
V 0.875 0.287 0.463
V 0.963 0.625 0.713
Zn 0.073 0.927 0.427
Zn 0.177 0.177 0.177
Zn 0.323 0.823 0.677
Zn 0.427 0.073 0.927
Zn 0.573 0.573 0.573
Zn 0.677 0.323 0.823
Zn 0.823 0.677 0.323
Zn 0.927 0.427 0.073
N 0.125 0.375 0.625
N 0.375 0.625 0.125
N 0.625 0.125 0.375
N 0.875 0.875 0.875